! MgSi2, relaxed, DFT PBE; values from VASP
&SYSTEM
  ibrav = 0, nat = 12, ntyp = 2
/
ATOMIC_SPECIES
Mg 24.30 Mg.upf
Si 28.09 Si.upf
CELL_PARAMETERS angstrom
3.774 0.000 0.000
-1.789 5.271 0.000
-0.247 -2.881 11.363
ATOMIC_POSITIONS crystal
Mg 0.000 0.000 0.000
Mg 0.005 0.115 0.449
Mg 0.789 0.492 0.268
Mg 0.824 0.454 0.788
Si 0.107 0.092 0.219
Si 0.253 0.693 0.530
Si 0.334 0.996 0.660
Si 0.339 0.611 0.947
Si 0.443 0.849 0.314
Si 0.617 0.418 0.534
Si 0.675 0.392 0.052
Si 0.750 0.957 0.788
! E above lowest polymorph in eV per formula unit: 1.57

ScH11I2O6 | PBE | relaxed Values from VASP.

```
&SYSTEM
  ibrav = 0, nat = 40, ntyp = 4
/
ATOMIC_SPECIES
Sc 44.96 Sc.upf
H 1.01 H.upf
I 126.90 I.upf
O 16.00 O.upf
CELL_PARAMETERS angstrom
8.318 0.000 0.000
1.672 8.410 0.000
3.597 1.738 8.146
ATOMIC_POSITIONS crystal
Sc 0.046 0.155 0.332
Sc 0.954 0.845 0.668
H 0.102 0.826 0.341
H 0.120 0.840 0.894
H 0.126 0.018 0.782
H 0.161 0.445 0.079
H 0.169 0.310 0.986
H 0.212 0.306 0.475
H 0.215 0.556 0.669
H 0.221 0.428 0.304
H 0.315 0.700 0.535
H 0.344 0.038 0.093
H 0.401 0.990 0.244
H 0.599 0.010 0.756
H 0.656 0.962 0.907
H 0.685 0.300 0.465
H 0.779 0.572 0.696
H 0.785 0.444 0.331
H 0.788 0.694 0.525
H 0.831 0.690 0.014
H 0.839 0.555 0.921
H 0.874 0.982 0.218
H 0.880 0.160 0.106
H 0.898 0.174 0.659
I 0.253 0.688 0.099
I 0.352 0.237 0.695
I 0.648 0.763 0.305
I 0.747 0.312 0.901
O 0.049 0.903 0.416
O 0.069 0.917 0.817
O 0.111 0.343 0.093
O 0.173 0.327 0.381
O 0.200 0.672 0.619
O 0.331 0.075 0.191
O 0.669 0.925 0.809
O 0.800 0.328 0.381
O 0.827 0.673 0.619
O 0.889 0.657 0.907
O 0.931 0.083 0.183
O 0.951 0.097 0.584
```

! K2LiH2Se2O6, relaxed, DFT PBE; values from VASP
&SYSTEM
  ibrav = 0, nat = 13, ntyp = 5
/
ATOMIC_SPECIES
K 39.10 K.upf
Li 6.94 Li.upf
H 1.01 H.upf
Se 78.96 Se.upf
O 16.00 O.upf
CELL_PARAMETERS angstrom
5.347 0.000 0.000
-1.315 5.931 0.000
-2.364 -2.472 7.417
ATOMIC_POSITIONS crystal
K 0.000 0.000 0.000
K 0.233 0.786 0.667
Li 0.565 0.591 0.462
H 0.261 0.309 0.736
H 0.712 0.467 0.730
Se 0.526 0.542 0.051
Se 0.787 0.137 0.410
O 0.126 0.305 0.521
O 0.319 0.272 0.854
O 0.386 0.754 0.006
O 0.408 0.444 0.201
O 0.721 0.938 0.521
O 0.726 0.618 0.706
! E above lowest polymorph in eV per formula unit: 0.35

BaCO3 | PBE | relaxed Values from VASP.

```
&SYSTEM
  ibrav = 0, nat = 10, ntyp = 3
/
ATOMIC_SPECIES
Ba 137.33 Ba.upf
C 12.01 C.upf
O 16.00 O.upf
CELL_PARAMETERS angstrom
5.513 0.000 0.000
-2.756 4.774 0.000
0.000 0.000 5.691
ATOMIC_POSITIONS crystal
Ba 0.333 0.667 0.250
Ba 0.667 0.333 0.750
C 0.000 0.000 0.250
C 0.000 0.000 0.750
O 0.137 0.274 0.750
O 0.137 0.863 0.750
O 0.274 0.137 0.250
O 0.726 0.863 0.750
O 0.863 0.137 0.250
O 0.863 0.726 0.250
```

Nd2O3F3 | PBE | relaxed Values from VASP.

```
&SYSTEM
  ibrav = 0, nat = 8, ntyp = 3
/
ATOMIC_SPECIES
Nd 144.24 Nd.upf
O 16.00 O.upf
F 19.00 F.upf
CELL_PARAMETERS angstrom
5.981 0.000 0.000
-2.990 5.179 0.000
0.000 0.000 4.084
ATOMIC_POSITIONS crystal
Nd 0.000 0.000 0.000
Nd 0.333 0.667 0.500
O 0.105 0.451 0.000
O 0.346 0.895 0.000
O 0.549 0.654 0.000
F 0.266 0.235 0.500
F 0.765 0.031 0.500
F 0.969 0.734 0.500
```

ScCoGe2 | PBE | relaxed Values from VASP.

```
&SYSTEM
  ibrav = 0, nat = 48, ntyp = 3
/
ATOMIC_SPECIES
Sc 44.96 Sc.upf
Co 58.93 Co.upf
Ge 72.64 Ge.upf
CELL_PARAMETERS angstrom
9.193 0.000 0.000
0.000 10.130 0.000
0.000 0.000 7.970
ATOMIC_POSITIONS crystal
Sc 0.164 0.178 0.000
Sc 0.174 0.452 0.238
Sc 0.174 0.452 0.762
Sc 0.326 0.952 0.238
Sc 0.326 0.952 0.762
Sc 0.336 0.678 0.000
Sc 0.664 0.322 0.000
Sc 0.674 0.048 0.238
Sc 0.674 0.048 0.762
Sc 0.826 0.548 0.238
Sc 0.826 0.548 0.762
Sc 0.836 0.822 0.000
Co 0.000 0.000 0.247
Co 0.000 0.000 0.753
Co 0.090 0.746 0.253
Co 0.090 0.746 0.747
Co 0.410 0.246 0.253
Co 0.410 0.246 0.747
Co 0.500 0.500 0.247
Co 0.500 0.500 0.753
Co 0.590 0.754 0.253
Co 0.590 0.754 0.747
Co 0.910 0.254 0.253
Co 0.910 0.254 0.747
Ge 0.041 0.624 0.000
Ge 0.042 0.623 0.500
Ge 0.126 0.896 0.000
Ge 0.127 0.904 0.500
Ge 0.158 0.181 0.343
Ge 0.158 0.181 0.657
Ge 0.342 0.681 0.343
Ge 0.342 0.681 0.657
Ge 0.373 0.404 0.500
Ge 0.374 0.396 0.000
Ge 0.458 0.123 0.500
Ge 0.459 0.124 0.000
Ge 0.541 0.876 0.000
Ge 0.542 0.877 0.500
Ge 0.626 0.604 0.000
Ge 0.627 0.596 0.500
Ge 0.658 0.319 0.343
Ge 0.658 0.319 0.657
Ge 0.842 0.819 0.343
Ge 0.842 0.819 0.657
Ge 0.873 0.096 0.500
Ge 0.874 0.104 0.000
Ge 0.958 0.377 0.500
Ge 0.959 0.376 0.000
```

no.,E_form (eV per atom)
1,0.60
2,-1.39
3,-1.50
4,-2.58
5,-3.13
6,-0.59